Compound: LiCu5P2O8
Source: the Materials Project database
Functional: PBE
Structure: relaxed

Calculated values
final energy: -5.82 eV/atom
size of the total moment: 0.00 μB per atom
distance to the lowest polymorph of the same formula: 30.1 meV per atom

a = 5.5097 Å, b = 6.2601 Å, c = 10.4644 Å
α = 90.03°, β = 90.11°, γ = 90.43°
Fractional coordinates of all 32 atoms:
1 O 0.3054 0.2075 0.9493
2 O 0.3051 0.7994 0.9506
3 O 0.3177 0.2037 0.4425
4 O 0.1818 0.0084 0.1509
5 O 0.2993 0.8000 0.4462
6 O 0.6999 0.6971 0.2001
7 O 0.8167 0.4912 0.4016
8 O 0.9049 0.0147 0.4491
9 O 0.6780 0.2926 0.2033
10 O 0.1776 0.0058 0.6457
11 O 0.6956 0.2977 0.6872
12 O 0.6949 0.7041 0.6964
13 O 0.0914 0.5017 0.6955
14 O 0.8229 0.4949 0.8946
15 O 0.9108 0.9996 0.9494
16 O 0.0920 0.4830 0.2040
17 Cu 0.3397 0.7439 0.7479
18 Cu 0.3458 0.2553 0.7508
19 Cu 0.6604 0.7556 0.0000
20 Cu 0.8140 0.9956 0.2458
21 Cu 0.3349 0.7429 0.2463
22 Cu 0.8113 0.0029 0.7493
23 Cu 0.1883 0.4983 0.4963
24 Cu 0.1846 0.5043 0.9988
25 Cu 0.6652 0.7570 0.4946
26 Cu 0.6650 0.2432 0.0025
27 P 0.1727 0.0080 0.4971
28 P 0.8260 0.4910 0.2532
29 P 0.8262 0.4983 0.7462
30 P 0.1743 0.0032 0.0027
31 Li 0.6716 0.2478 0.4960
32 Li 0.3258 0.2512 0.2487

=====

Compound: LiCu5P2O8
Source: the Materials Project database
Functional: PBE
Structure: relaxed

Calculated values
final energy: -5.85 eV/atom
size of the total moment: 0.00 μB per atom
distance to the lowest polymorph of the same formula: 0.0 meV per atom

a = 6.1951 Å, b = 5.1505 Å, c = 5.6917 Å
α = 87.97°, β = 90.00°, γ = 90.00°
Fractional coordinates of all 16 atoms:
1 P 0.0000 0.9961 0.1480
2 P 0.5000 0.5170 0.8247
3 Cu 0.7034 0.4545 0.3520
4 Cu 0.7392 0.0209 0.6300
5 Cu 0.2966 0.4545 0.3520
6 Cu 0.2608 0.0209 0.6300
7 Cu 0.5000 0.9745 0.2711
8 O 0.8022 0.8802 0.2911
9 O 0.0000 0.8902 0.8953
10 O 0.5000 0.3960 0.0785
11 O 0.1978 0.8802 0.2911
12 O 0.0000 0.2971 0.1492
13 O 0.2875 0.4190 0.7033
14 O 0.7125 0.4190 0.7033
15 O 0.5000 0.8168 0.8268
16 Li 0.0000 0.5058 0.8535

=====

Compound: LiCu5P2O8
Source: the Materials Project database
Functional: PBE
Structure: relaxed

Calculated values
final energy: -5.85 eV/atom
size of the total moment: 0.00 μB per atom
distance to the lowest polymorph of the same formula: 1.2 meV per atom

a = 5.6209 Å, b = 6.2328 Å, c = 10.3015 Å
α = 89.48°, β = 88.27°, γ = 88.20°
Fractional coordinates of all 32 atoms:
1 O 0.3215 0.2947 0.7863
2 O 0.8317 0.0087 0.3528
3 O 0.6966 0.8132 0.0644
4 O 0.2921 0.2901 0.2882
5 O 0.2879 0.7138 0.2879
6 O 0.9181 0.5072 0.2962
7 O 0.8443 0.9974 0.8532
8 O 0.1578 0.4974 0.5894
9 O 0.0821 0.0072 0.0634
10 O 0.7150 0.1970 0.5680
11 O 0.1770 0.5064 0.0869
12 O 0.1167 0.9973 0.5419
13 O 0.2829 0.6892 0.7931
14 O 0.9010 0.4790 0.7967
15 O 0.7208 0.8020 0.5609
16 O 0.6855 0.2122 0.0496
17 Cu 0.6488 0.2875 0.2773
18 Cu 0.6483 0.7552 0.7731
19 Cu 0.6343 0.6987 0.2777
20 Cu 0.7459 0.4980 0.5034
21 Cu 0.3325 0.2171 0.9903
22 Cu 0.2551 0.9955 0.7707
23 Cu 0.3775 0.2739 0.4889
24 Cu 0.3656 0.7635 0.9872
25 Cu 0.3722 0.7343 0.5007
26 Cu 0.7434 0.5131 0.0162
27 Li 0.1387 0.0041 0.2534
28 Li 0.6892 0.2443 0.7573
29 P 0.8326 0.0074 0.0034
30 P 0.1572 0.4884 0.7398
31 P 0.1742 0.5050 0.2366
32 P 0.8535 0.0011 0.5027

=====

Compound: Li6Cu9P8O32
Source: the Materials Project database
Functional: PBE
Structure: relaxed

Calculated values
final energy: -6.27 eV/atom
size of the total moment: 0.09 μB per atom

a = 8.7281 Å, b = 8.9196 Å, c = 9.0699 Å
α = 111.29°, β = 99.20°, γ = 104.57°
Fractional coordinates of all 55 atoms:
1 O 0.0118 0.6768 0.0166
2 O 0.5838 0.2556 0.1233
3 O 0.9092 0.1096 0.1734
4 O 0.3188 0.9548 0.1224
5 O 0.8429 0.8264 0.5939
6 O 0.2793 0.8161 0.3156
7 O 0.9882 0.3232 0.9834
8 O 0.1531 0.5211 0.7037
9 O 0.4338 0.0894 0.7371
10 O 0.0947 0.7487 0.5333
11 O 0.6073 0.4301 0.4295
12 O 0.4122 0.4347 0.7626
13 O 0.4162 0.7444 0.8767
14 O 0.1571 0.1736 0.4061
15 O 0.7925 0.7893 0.9201
16 O 0.9053 0.2513 0.4667
17 O 0.5662 0.9106 0.2629
18 O 0.7203 0.5230 0.9797
19 O 0.8945 0.9332 0.3382
20 O 0.8469 0.4789 0.2963
21 O 0.6812 0.0452 0.8776
22 O 0.7207 0.1839 0.6844
23 O 0.5878 0.5653 0.2374
24 O 0.1838 0.4758 0.2768
25 O 0.8162 0.5242 0.7232
26 O 0.0908 0.8904 0.8266
27 O 0.1055 0.0668 0.6618
28 O 0.4464 0.1269 0.4321
29 O 0.2075 0.2107 0.0799
30 O 0.3927 0.5699 0.5705
31 O 0.2797 0.4770 0.0203
32 O 0.5536 0.8731 0.5679
33 Cu 0.3403 0.6953 0.4417
34 Cu 0.6597 0.3047 0.5583
35 Cu 0.0000 0.5000 0.5000
36 Cu 0.2874 0.1239 0.5709
37 Cu 0.0000 0.0000 0.0000
38 Cu 0.7958 0.2730 0.0624
39 Cu 0.7126 0.8761 0.4291
40 Cu 0.5000 0.5000 0.0000
41 Cu 0.2042 0.7270 0.9376
42 P 0.8331 0.6247 0.9094
43 P 0.5952 0.0526 0.7194
44 P 0.6542 0.4334 0.2734
45 P 0.9659 0.1160 0.3487
46 P 0.1669 0.3753 0.0906
47 P 0.0341 0.8840 0.6513
48 P 0.4048 0.9474 0.2806
49 P 0.3458 0.5666 0.7266
50 Li 0.6794 0.6711 0.6434
51 Li 0.6465 0.9093 0.0244
52 Li 0.3535 0.0907 0.9756
53 Li 0.3206 0.3289 0.3566
54 Li 0.0254 0.7243 0.2660
55 Li 0.9746 0.2757 0.7340

=====

Compound: LiCu5P2O8
Source: the Materials Project database
Functional: PBE
Structure: relaxed

Calculated values
final energy: -5.82 eV/atom
size of the total moment: 0.00 μB per atom
distance to the lowest polymorph of the same formula: 26.3 meV per atom

a = 5.5233 Å, b = 6.2568 Å, c = 10.4770 Å
α = 90.06°, β = 90.03°, γ = 90.01°
Fractional coordinates of all 32 atoms:
1 Cu 0.8032 0.9966 0.2448
2 Cu 0.2015 0.5051 0.4954
3 Cu 0.3495 0.2513 0.7520
4 Cu 0.6577 0.2449 0.0004
5 Cu 0.3302 0.2582 0.2487
6 Cu 0.7983 0.0045 0.7501
7 Cu 0.6649 0.7564 0.0034
8 Cu 0.6549 0.7555 0.4966
9 Cu 0.3433 0.7433 0.7472
10 Cu 0.1960 0.4951 0.9988
11 O 0.3204 0.2055 0.4502
12 O 0.3017 0.1991 0.9493
13 O 0.3067 0.7907 0.9502
14 O 0.0936 0.4967 0.6948
15 O 0.9104 0.9939 0.9495
16 O 0.6990 0.2956 0.1996
17 O 0.6964 0.2978 0.6861
18 O 0.8245 0.4927 0.8938
19 O 0.1765 0.9956 0.6452
20 O 0.9051 0.0157 0.4486
21 O 0.1806 0.9925 0.1509
22 O 0.6993 0.7044 0.6955
23 O 0.8182 0.4946 0.4020
24 O 0.6781 0.7012 0.2045
25 O 0.2987 0.8018 0.4365
26 O 0.0918 0.5146 0.2039
27 P 0.8304 0.4966 0.7459
28 P 0.1716 0.9941 0.0031
29 P 0.1706 0.0046 0.4971
30 P 0.8274 0.5027 0.2544
31 Li 0.3249 0.7494 0.2483
32 Li 0.6745 0.2492 0.4961

=====

Compound: Li2CuPO4
Source: the Materials Project database
Functional: PBE
Structure: relaxed

Calculated values
final energy: -6.09 eV/atom
size of the total moment: 0.00 μB per atom
distance to the lowest polymorph of the same formula: 15.8 meV per atom

a = 5.3885 Å, b = 6.2457 Å, c = 10.0839 Å
α = 90.11°, β = 90.18°, γ = 90.39°
Fractional coordinates of all 32 atoms:
1 Cu 0.3375 0.2426 0.4966
2 Cu 0.8266 0.5019 0.9979
3 Cu 0.6674 0.2601 0.7451
4 Cu 0.3273 0.2479 0.0000
5 O 0.6973 0.2009 0.9515
6 O 0.7038 0.2032 0.4433
7 O 0.3190 0.7081 0.6931
8 O 0.3109 0.7065 0.1960
9 O 0.8962 0.5006 0.2062
10 O 0.8234 0.9952 0.1565
11 O 0.3101 0.2957 0.2063
12 O 0.8278 0.9916 0.6517
13 O 0.6783 0.7974 0.9463
14 O 0.0979 0.9862 0.9476
15 O 0.9039 0.5142 0.6932
16 O 0.6823 0.7921 0.4447
17 O 0.1763 0.5120 0.4062
18 O 0.2969 0.2929 0.7012
19 O 0.0990 0.9861 0.4441
20 O 0.1827 0.5144 0.9011
21 P 0.8264 0.9929 0.4968
22 P 0.1742 0.5047 0.2521
23 P 0.8275 0.9930 0.0025
24 P 0.1762 0.5090 0.7467
25 Li 0.6725 0.7461 0.2456
26 Li 0.8457 0.4989 0.4952
27 Li 0.6726 0.7466 0.7455
28 Li 0.6740 0.2523 0.2448
29 Li 0.1547 0.0013 0.7454
30 Li 0.1552 0.0004 0.2464
31 Li 0.3284 0.7542 0.4959
32 Li 0.3278 0.7512 0.9972